(1)
The following is a DFT calculation (r2SCAN) of a geometry-optimized SnPtS structure.

Cell: 6.165 6.165 6.165 Å, 90.00 90.00 90.00°
Space group P2_13 (No. 198)
Inequivalent atoms, fractional coordinates:
Sn  0.119  0.381  0.619 (multiplicity 4)
Pt  0.010  0.990  0.490 (multiplicity 4)
S  0.119  0.119  0.119 (multiplicity 4)

Computed properties:
Its formation energy is -0.654 eV per atom.


(2)
The following is a DFT calculation (r2SCAN) of a geometry-optimized Ta2Pt3S8 structure.

Cell: 10.577 14.641 3.463 Å, 90.00 90.00 90.00°
Space group Pbam (No. 55)
Inequivalent atoms, fractional coordinates:
Ta  0.201  0.123  0.000 (multiplicity 4)
Pt  0.000  0.000  0.500 (multiplicity 2)
Pt  0.139  0.724  0.500 (multiplicity 4)
S  0.034  0.157  0.500 (multiplicity 4)
S  0.067  0.627  0.000 (multiplicity 4)
S  0.221  0.001  0.500 (multiplicity 4)
S  0.239  0.288  0.000 (multiplicity 4)

Computed properties:
Its formation energy is -0.863 eV per atom.


(3)
The following is a DFT calculation (r2SCAN) of a geometry-optimized SbPt structure.

Cell: 4.1774 4.1774 5.5392 Å, 90.00 90.00 120.00°
Space group P6_3/mmc (No. 194)
Inequivalent atoms, fractional coordinates:
Sb  0.3333  0.6667  0.2500 (multiplicity 2)
Pt  0.0000  0.0000  0.0000 (multiplicity 2)

Computed properties:
Its formation energy is -0.446 eV per atom.


(4)
The following is a DFT calculation (r2SCAN) of a geometry-optimized SiSbPt structure.

Cell: 6.355 6.377 11.550 Å, 90.00 90.00 90.00°
Space group Pbca (No. 61)
Inequivalent atoms, fractional coordinates:
Si  0.145  0.235  0.074 (multiplicity 8)
Sb  0.116  0.506  0.827 (multiplicity 8)
Pt  0.011  0.618  0.607 (multiplicity 8)

Computed properties:
Its formation energy is -0.527 eV per atom.


(5)
The following is a DFT calculation (r2SCAN) of a geometry-optimized TbSbPt structure.

Cell: 6.590 6.590 6.590 Å, 90.00 90.00 90.00°
Space group F-43m (No. 216)
Inequivalent atoms, fractional coordinates:
Tb  0.000  0.000  0.000 (multiplicity 4)
Sb  0.000  0.000  0.500 (multiplicity 4)
Pt  0.250  0.250  0.250 (multiplicity 4)

Computed properties:
Its formation energy is -1.381 eV per atom.


(6)
The following is a DFT calculation (r2SCAN) of a geometry-optimized Tm5SbPt2 structure.

Cell: 7.596 7.596 13.497 Å, 90.00 90.00 90.00°
Space group I4/mcm (No. 140)
Inequivalent atoms, fractional coordinates:
Tm  0.000  0.000  0.000 (multiplicity 4)
Tm  0.156  0.344  0.139 (multiplicity 16)
Sb  0.000  0.000  0.250 (multiplicity 4)
Pt  0.140  0.360  0.500 (multiplicity 8)

Computed properties:
Its formation energy is -1.141 eV per atom.


(7)
The following is a DFT calculation (r2SCAN) of a geometry-optimized Zr6Sb2Pt structure.

Cell: 7.8568 7.8568 3.7134 Å, 90.00 90.00 120.00°
Space group P-62m (No. 189)
Inequivalent atoms, fractional coordinates:
Zr  0.0000  0.2500  0.0000 (multiplicity 3)
Zr  0.0000  0.5949  0.5000 (multiplicity 3)
Sb  0.3333  0.6667  0.0000 (multiplicity 2)
Pt  0.0000  0.0000  0.5000 (multiplicity 1)

Computed properties:
Its formation energy is -0.823 eV per atom.


(8)
The following is a DFT calculation (r2SCAN) of a geometry-optimized ScPt3 structure.

Cell: 3.984 3.984 3.984 Å, 90.00 90.00 90.00°
Space group Pm-3m (No. 221)
Inequivalent atoms, fractional coordinates:
Sc  0.000  0.000  0.000 (multiplicity 1)
Pt  0.000  0.500  0.500 (multiplicity 3)

Computed properties:
Its formation energy is -1.117 eV per atom.


Copy entry 5 word for word.
The following is a DFT calculation (r2SCAN) of a geometry-optimized TbSbPt structure.

Cell: 6.590 6.590 6.590 Å, 90.00 90.00 90.00°
Space group F-43m (No. 216)
Inequivalent atoms, fractional coordinates:
Tb  0.000  0.000  0.000 (multiplicity 4)
Sb  0.000  0.000  0.500 (multiplicity 4)
Pt  0.250  0.250  0.250 (multiplicity 4)

Computed properties:
Its formation energy is -1.381 eV per atom.


Please write out number 2 again, unchanged.
The following is a DFT calculation (r2SCAN) of a geometry-optimized Ta2Pt3S8 structure.

Cell: 10.577 14.641 3.463 Å, 90.00 90.00 90.00°
Space group Pbam (No. 55)
Inequivalent atoms, fractional coordinates:
Ta  0.201  0.123  0.000 (multiplicity 4)
Pt  0.000  0.000  0.500 (multiplicity 2)
Pt  0.139  0.724  0.500 (multiplicity 4)
S  0.034  0.157  0.500 (multiplicity 4)
S  0.067  0.627  0.000 (multiplicity 4)
S  0.221  0.001  0.500 (multiplicity 4)
S  0.239  0.288  0.000 (multiplicity 4)

Computed properties:
Its formation energy is -0.863 eV per atom.


Which formula does entry 4 have?
SiSbPt